The following is a PBE+U calculation of an optimized crystal structure of Tb2CoTe2S2O14, from the Materials Project database.

extended XYZ file:
```
21
Lattice="5.3133 0.0000 0.0000 0.5904 7.9172 0.0000 2.3918 3.4129 7.0733" Properties=species:S:1:pos:R:3 pbc="T T T"
Tb 0.6371 2.0509 0.1153
Tb 7.6583 9.2792 6.9580
Co 1.1959 1.7065 3.5366
Te 4.5778 8.0243 4.6774
Te 3.7177 3.3058 2.3959
S 2.2793 6.8250 1.7694
S 6.0162 4.5051 5.3039
O 1.4784 5.5765 1.8067
O 2.1669 7.5894 3.0321
O 1.6916 7.6144 0.6216
O 3.7857 7.5066 6.3324
O 3.4570 9.5825 4.7199
O 2.1801 2.3723 1.7705
O 4.5843 4.8146 5.5488
O 3.7112 6.5156 1.5244
O 6.1154 8.9578 5.3027
O 4.8385 1.7476 2.3534
O 4.5098 3.8236 0.7409
O 6.6038 3.7158 6.4516
O 6.1286 3.7407 4.0411
O 6.8170 5.7536 5.2665
```

Output
- formation enthalpy at 0 K (kJ/mol of formula units) = -4743.0
- symmetry = No. 2
- MP2020-corrected energy (eV/f.u.) = -149.37
- density (Mg/m³) = 5.13
- crystal system = triclinic